DFT (PBE) results for Cs3Li2Br5 after structural relaxation.

```
Cs3Li2Br5
1.0
3.8236 -12.9091 0.0000
3.8236 12.9091 0.0000
-2.5830 0.0000 3.6409
Cs Li Br
3 2 5
direct
0.0000 0.0000 0.0000 Cs
0.3835 0.6289 0.5297 Cs
0.6289 0.3835 0.5297 Cs
0.2583 0.8263 0.5704 Li
0.8263 0.2583 0.5704 Li
0.1158 0.8780 0.5158 Br
0.2067 0.6825 0.9742 Br
0.4986 0.4986 0.0023 Br
0.6825 0.2067 0.9742 Br
0.8780 0.1158 0.5158 Br
```

Calculated values
E_tot: -3.15 eV per atom
Symmetry: Cm